(1)
## RbAu3Se2 (PBE-GGA)

Data for an optimized crystal structure of RbAu3Se2.

Results
- energy relative to the elements (eV per atom) = -0.609
- theoretical density (kg/m³) = 7181
- volume (Å³/atom) = 32.2

Cell lengths 6.2898, 6.2898, 5.6307 Å; angles 90.00, 90.00, 120.00 degrees
Space group P-3m1 (No. 164)
Unique sites:
Rb 0.0000 0.0000 0.0000 (multiplicity 1)
Au 0.0000 0.5000 0.5000 (multiplicity 3)
Se 0.3333 0.6667 0.8010 (multiplicity 2)

(2)
## KNaSi2O5 (PBE-GGA)

Data for an optimized crystal structure of KNaSi2O5.

Results
- size of the total moment (μB per atom) = 0.000
- energy relative to the elements (eV per atom) = -2.911
- theoretical density (kg/m³) = 2399
- volume (Å³/atom) = 15.2

Cell lengths 7.372, 17.680, 14.486 Å; angles 90.00, 119.31, 90.00 degrees
Space group P2_1/c (No. 14)
Unique sites:
K 0.003 0.061 0.119 (multiplicity 4)
K 0.280 0.731 0.509 (multiplicity 4)
K 0.355 0.580 0.904 (multiplicity 4)
Na 0.081 0.089 0.514 (multiplicity 4)
Na 0.278 0.247 0.074 (multiplicity 4)
Na 0.433 0.084 0.041 (multiplicity 4)
Si 0.042 0.641 0.638 (multiplicity 4)
Si 0.198 0.170 0.745 (multiplicity 4)
Si 0.222 0.695 0.244 (multiplicity 4)
Si 0.243 0.169 0.350 (multiplicity 4)
Si 0.415 0.571 0.168 (multiplicity 4)
Si 0.431 0.558 0.666 (multiplicity 4)
O 0.007 0.656 0.235 (multiplicity 4)
O 0.046 0.186 0.622 (multiplicity 4)
O 0.091 0.119 0.801 (multiplicity 4)
O 0.095 0.139 0.988 (multiplicity 4)
O 0.161 0.722 0.685 (multiplicity 4)
O 0.225 0.573 0.683 (multiplicity 4)
O 0.271 0.645 0.161 (multiplicity 4)
O 0.293 0.521 0.064 (multiplicity 4)
O 0.304 0.246 0.820 (multiplicity 4)
O 0.305 0.161 0.471 (multiplicity 4)
O 0.357 0.104 0.312 (multiplicity 4)
O 0.377 0.559 0.545 (multiplicity 4)
O 0.401 0.122 0.757 (multiplicity 4)
O 0.401 0.695 0.364 (multiplicity 4)
O 0.482 0.527 0.282 (multiplicity 4)

(3)
## Mg4Zn7 (PBE-GGA)

Data for an optimized crystal structure of Mg4Zn7.

Results
- size of the total moment (μB per atom) = 0.000
- energy relative to the elements (eV per atom) = -0.130
- theoretical density (kg/m³) = 4903
- volume (Å³/atom) = 17.1

Cell lengths 25.766, 5.287, 14.141 Å; angles 90.00, 102.57, 90.00 degrees
Space group C2 (No. 5)
Unique sites:
Mg 0.006 0.000 0.403 (multiplicity 4)
Mg 0.018 0.500 0.899 (multiplicity 4)
Mg 0.034 0.000 0.213 (multiplicity 4)
Mg 0.059 0.500 0.549 (multiplicity 4)
Mg 0.127 0.000 0.602 (multiplicity 4)
Mg 0.143 0.500 0.928 (multiplicity 4)
Mg 0.163 0.000 0.249 (multiplicity 4)
Mg 0.179 0.000 0.825 (multiplicity 4)
Mg 0.196 0.500 0.150 (multiplicity 4)
Mg 0.216 0.000 0.476 (multiplicity 4)
Zn 0.000 0.000 0.000 (multiplicity 2)
Zn 0.017 0.500 0.320 (multiplicity 4)
Zn 0.068 0.245 0.744 (multiplicity 4)
Zn 0.068 0.755 0.744 (multiplicity 4)
Zn 0.079 0.000 0.908 (multiplicity 4)
Zn 0.086 0.256 0.071 (multiplicity 4)
Zn 0.086 0.744 0.071 (multiplicity 4)
Zn 0.099 0.500 0.233 (multiplicity 4)
Zn 0.108 0.237 0.399 (multiplicity 4)
Zn 0.108 0.763 0.399 (multiplicity 4)
Zn 0.151 0.500 0.715 (multiplicity 4)
Zn 0.170 0.000 0.034 (multiplicity 4)
Zn 0.171 0.500 0.537 (multiplicity 4)
Zn 0.187 0.500 0.359 (multiplicity 4)
Zn 0.233 0.244 0.675 (multiplicity 4)
Zn 0.233 0.756 0.675 (multiplicity 4)
Zn 0.243 0.500 0.839 (multiplicity 4)
Zn 0.248 0.750 0.998 (multiplicity 4)

(4)
## Nd3Co29Si4B10 (PBE-GGA)

Data for an optimized crystal structure of Nd3Co29Si4B10.

Results
- energy relative to the elements (eV per atom) = -0.398
- theoretical density (kg/m³) = 7999
- volume (Å³/atom) = 10.7

Cell lengths 11.177, 11.177, 7.851 Å; angles 90.00, 90.00, 90.00 degrees
Space group P4/nmm (No. 129, origin choice 2)
Unique sites:
Nd 0.000 0.000 0.000 (multiplicity 4)
Nd 0.250 0.750 0.500 (multiplicity 2)
Co 0.025 0.250 0.475 (multiplicity 8)
Co 0.075 0.588 0.337 (multiplicity 16)
Co 0.086 0.250 0.972 (multiplicity 8)
Co 0.136 0.136 0.252 (multiplicity 8)
Co 0.140 0.750 0.111 (multiplicity 8)
Co 0.141 0.141 0.698 (multiplicity 8)
Co 0.250 0.250 0.469 (multiplicity 2)
Si 0.069 0.750 0.824 (multiplicity 8)
B 0.006 0.750 0.262 (multiplicity 8)
B 0.064 0.064 0.482 (multiplicity 8)
B 0.250 0.250 0.107 (multiplicity 2)
B 0.250 0.250 0.851 (multiplicity 2)